Record 1
Computed, not measured: a relaxed structure of Ba5Li2Te3O15 at the PBE level of DFT.

a = 10.2286 Å, b = 10.2286 Å, c = 10.2286 Å
α = 99.45°, β = 99.45°, γ = 132.20°
Fractional coordinates of all 50 atoms:
Ba 0.0431 0.3504 0.8976
Ba 0.1456 0.0431 0.6928
Ba 0.2500 0.7500 0.5000
Ba 0.3504 0.4528 0.3072
Ba 0.4528 0.1456 0.1024
Ba 0.5472 0.8544 0.8976
Ba 0.6496 0.5472 0.6928
Ba 0.7500 0.2500 0.5000
Ba 0.8544 0.9569 0.3072
Ba 0.9569 0.6496 0.1024
Li 0.0986 0.6988 0.7974
Li 0.3012 0.0986 0.3998
Li 0.6988 0.9014 0.6002
Li 0.9014 0.3012 0.2026
Te 0.0000 0.0000 0.0000
Te 0.1921 0.3983 0.5904
Te 0.3983 0.8079 0.2062
Te 0.5000 0.5000 0.0000
Te 0.6017 0.1921 0.7938
Te 0.8079 0.6017 0.4096
O 0.0272 0.8300 0.3939
O 0.0466 0.8629 0.9094
O 0.0552 0.3529 0.4082
O 0.1371 0.0466 0.1837
O 0.1580 0.5401 0.6981
O 0.1700 0.5640 0.1972
O 0.2497 0.2635 0.5133
O 0.2569 0.2569 0.0000
O 0.2635 0.7503 0.0138
O 0.3529 0.9448 0.2977
O 0.3611 0.4536 0.8147
O 0.3667 0.9728 0.8028
O 0.4360 0.6333 0.6061
O 0.4536 0.6389 0.0925
O 0.4599 0.1580 0.6179
O 0.5401 0.8420 0.3821
O 0.5464 0.3611 0.9075
O 0.5640 0.3667 0.3939
O 0.6333 0.0272 0.1972
O 0.6389 0.5464 0.1853
O 0.6471 0.0552 0.7023
O 0.7365 0.2497 0.9862
O 0.7431 0.7431 0.0000
O 0.7503 0.7365 0.4867
O 0.8300 0.4360 0.8028
O 0.8420 0.4599 0.3019
O 0.8629 0.9534 0.8163
O 0.9448 0.6471 0.5918
O 0.9534 0.1371 0.0906
O 0.9728 0.1700 0.6061

Properties
* calculated density: 6.06 g/cm3
* energy of formation: -2.441 eV per atom
* MP2020-corrected energy: -316.2 eV for the cell shown
* raw total energy: -5.91 eV/atom



Record 2
Computed, not measured: a relaxed structure of Ba2LiTi11O24 at the PBE level of DFT.

a = 7.3365 Å, b = 7.3961 Å, c = 8.9652 Å
α = 78.14°, β = 78.09°, γ = 87.68°
Fractional coordinates of all 38 atoms:
Ba 0.0000 0.0000 0.0000
Ba 0.0047 0.0035 0.4434
Li 0.5159 0.8102 0.1650
Ti 0.1980 0.5316 0.7658
Ti 0.1994 0.5258 0.4301
Ti 0.2058 0.5167 0.1019
Ti 0.4864 0.1871 0.6083
Ti 0.4895 0.1748 0.9486
Ti 0.5017 0.1716 0.2704
Ti 0.5287 0.8199 0.4879
Ti 0.5352 0.8220 0.8363
Ti 0.8201 0.4950 0.3303
Ti 0.8246 0.4933 0.0059
Ti 0.8299 0.4722 0.6714
O 0.0534 0.6467 0.6053
O 0.0536 0.6472 0.9356
O 0.0564 0.6501 0.2690
O 0.2984 0.3754 0.9366
O 0.3005 0.3787 0.6085
O 0.3059 0.3792 0.2777
O 0.3562 0.0665 0.1529
O 0.3614 0.0499 0.8205
O 0.3638 0.0506 0.4842
O 0.3743 0.7151 0.3852
O 0.3747 0.7091 0.0250
O 0.3866 0.7112 0.7035
O 0.6291 0.3000 0.7304
O 0.6337 0.3003 0.4027
O 0.6390 0.2932 0.0629
O 0.6500 0.9599 0.6194
O 0.6585 0.9658 0.9376
O 0.6698 0.9682 0.2972
O 0.7163 0.6251 0.8299
O 0.7219 0.6322 0.4969
O 0.7234 0.6262 0.1609
O 0.9612 0.3586 0.8340
O 0.9617 0.3563 0.1688
O 0.9615 0.3599 0.5009

Properties
* calculated density: 4.25 g/cm3
* energy of formation: -3.457 eV per atom
* MP2020-corrected energy: -342.7 eV for the cell shown
* raw total energy: -8.58 eV/atom



Record 3
Computed, not measured: a relaxed structure of Ba4Li6Ti19O44 at the PBE level of DFT.

a = 5.8582 Å, b = 10.0737 Å, c = 14.1792 Å
α = 90.35°, β = 90.04°, γ = 90.00°
Fractional coordinates of all 73 atoms:
Ba 0.0000 0.0000 0.0000
Ba 0.0073 0.3164 0.5089
Ba 0.4957 0.5179 0.3102
Ba 0.5044 0.8200 0.8176
Li 0.0017 0.3020 0.0718
Li 0.0025 0.9905 0.4480
Li 0.2408 0.4148 0.9358
Li 0.5002 0.8366 0.3728
Li 0.5212 0.5094 0.8472
Li 0.7897 0.3785 0.9231
Ti 0.0015 0.6510 0.4113
Ti 0.0037 0.9779 0.7436
Ti 0.0087 0.3346 0.2583
Ti 0.0115 0.5214 0.7414
Ti 0.0123 0.6700 0.9192
Ti 0.2506 0.0651 0.2375
Ti 0.2563 0.7488 0.5808
Ti 0.2570 0.2452 0.7467
Ti 0.4782 0.8129 0.0737
Ti 0.4852 0.3207 0.0883
Ti 0.5017 0.0229 0.5766
Ti 0.5064 0.4849 0.5809
Ti 0.5072 0.1852 0.4118
Ti 0.5100 0.1413 0.9239
Ti 0.7447 0.0637 0.2336
Ti 0.7539 0.2452 0.7416
Ti 0.7578 0.7484 0.5836
Ti 0.7613 0.5704 0.0824
Ti 0.9942 0.7949 0.2380
O 0.9997 0.8477 0.8340
O 0.0035 0.4775 0.3425
O 0.0052 0.3432 0.8124
O 0.0048 0.8091 0.4988
O 0.0067 0.1613 0.6748
O 0.0105 0.6694 0.6582
O 0.2171 0.7336 0.3275
O 0.2303 0.5847 0.8318
O 0.2377 0.2342 0.3282
O 0.2469 0.3815 0.1684
O 0.2500 0.7584 0.9880
O 0.2504 0.9060 0.1602
O 0.2517 0.0885 0.8245
O 0.2528 0.9149 0.6620
O 0.2591 0.5875 0.4990
O 0.2603 0.4144 0.6625
O 0.2785 0.2366 0.9979
O 0.2853 0.0906 0.4951
O 0.4970 0.1482 0.1658
O 0.4989 0.0164 0.3222
O 0.5025 0.3474 0.4813
O 0.5038 0.1700 0.6661
O 0.5059 0.6610 0.6512
O 0.5075 0.8413 0.5141
O 0.5079 0.9798 0.9808
O 0.5112 0.3140 0.8301
O 0.5146 0.6645 0.1430
O 0.5298 0.4659 0.0055
O 0.7220 0.0933 0.4943
O 0.7285 0.2248 0.0007
O 0.7474 0.7361 0.9952
O 0.7503 0.9085 0.1601
O 0.7509 0.2404 0.3238
O 0.7528 0.5860 0.5011
O 0.7551 0.4130 0.6614
O 0.7563 0.0878 0.8236
O 0.7574 0.9144 0.6622
O 0.7585 0.4047 0.1598
O 0.7792 0.7334 0.3305
O 0.7944 0.5946 0.8226
O 0.9794 0.6547 0.1602
O 0.9866 0.5103 0.9901
O 0.9971 0.1588 0.1729
O 0.9977 0.9850 0.3076

Properties
* calculated density: 4.37 g/cm3
* energy of formation: -3.354 eV per atom
* MP2020-corrected energy: -631.7 eV for the cell shown
* raw total energy: -8.24 eV/atom